Record 1
This record from Materials Project describes a relaxed structure of SrPIr. The functional is GGA-PBE. Values from VASP.

Summary:
- Uncorrected energy: -75.6 eV/cell
- Energy relative to the elements: -986 meV/atom
- SG: P2_13
- Mass density: 7.9 Mg/m³

```
&SYSTEM
  ibrav = 0, nat = 12, ntyp = 3
/
ATOMIC_SPECIES
Sr 87.62 Sr.upf
P 30.97 P.upf
Ir 192.22 Ir.upf
ATOMIC_POSITIONS crystal
Sr 0.119 0.119 0.119
Sr 0.381 0.881 0.619
Sr 0.619 0.381 0.881
Sr 0.881 0.619 0.381
P 0.161 0.339 0.661
P 0.339 0.661 0.161
P 0.661 0.161 0.339
P 0.839 0.839 0.839
Ir 0.092 0.592 0.908
Ir 0.408 0.408 0.408
Ir 0.592 0.908 0.092
Ir 0.908 0.092 0.592
CELL_PARAMETERS angstrom
6.384 0.000 0.000
0.000 6.384 0.000
0.000 0.000 6.384
```



Record 2
This record from Materials Project describes a relaxed structure of CsRb2TiF6. The functional is GGA-PBE. Values from VASP.

Summary:
- Uncorrected energy: -51.7 eV/cell
- Energy relative to the elements: -3223 meV/atom
- SG: Fm-3m
- Mass density: 3.5 Mg/m³
- Total magnetic moment: 1.00 Bohr magnetons per cell

```
&SYSTEM
  ibrav = 0, nat = 10, ntyp = 4
/
ATOMIC_SPECIES
Cs 132.91 Cs.upf
Rb 85.47 Rb.upf
Ti 47.87 Ti.upf
F 19.00 F.upf
ATOMIC_POSITIONS crystal
Cs 0.000 0.000 0.000
Rb 0.250 0.250 0.250
Rb 0.750 0.750 0.750
Ti 0.500 0.500 0.500
F 0.292 0.292 0.708
F 0.292 0.708 0.292
F 0.292 0.708 0.708
F 0.708 0.292 0.292
F 0.708 0.292 0.708
F 0.708 0.708 0.292
CELL_PARAMETERS angstrom
0.000 4.793 4.793
4.793 0.000 4.793
4.793 4.793 0.000
```